A plane-wave DFT calculation with GGA+U was carried out for a relaxed structure of CuH32W6Cl12O22.

## Properties
Space-group type: P-1 (2)
Formation energy from the elements (kcal/mol of atoms): -25.98

Cell: 8.861 9.612 13.048 Å, 104.44 103.75 94.93°
Atoms (fractional coordinates):
H (0.796, 0.711, 0.366)
H (0.556, 0.831, 0.629)
H (0.218, 0.663, 0.585)
H (0.990, 0.225, 0.763)
H (0.000, 0.944, 0.265)
H (0.031, 0.106, 0.170)
H (0.694, 0.629, 0.606)
H (0.943, 0.821, 0.395)
H (0.085, 0.843, 0.758)
H (0.010, 0.775, 0.237)
H (0.776, 0.915, 0.497)
H (0.776, 0.587, 0.458)
H (0.915, 0.157, 0.242)
H (0.197, 0.942, 0.399)
H (0.444, 0.169, 0.371)
H (0.676, 0.673, 0.728)
H (0.376, 0.860, 0.608)
H (0.204, 0.289, 0.634)
H (0.057, 0.179, 0.605)
H (0.103, 0.771, 0.560)
H (0.897, 0.229, 0.440)
H (0.394, 0.498, 0.574)
H (0.782, 0.337, 0.415)
H (0.624, 0.140, 0.392)
H (0.224, 0.085, 0.503)
H (0.224, 0.413, 0.542)
H (0.969, 0.894, 0.830)
H (0.324, 0.327, 0.272)
H (0.000, 0.056, 0.735)
H (0.606, 0.502, 0.426)
H (0.306, 0.371, 0.394)
H (0.803, 0.058, 0.601)
O (0.969, 0.137, 0.701)
O (0.269, 0.997, 0.472)
O (0.324, 0.423, 0.768)
O (0.287, 0.490, 0.527)
O (0.731, 0.003, 0.528)
O (0.355, 0.420, 0.159)
O (0.802, 0.236, 0.387)
O (0.343, 0.298, 0.341)
O (0.824, 0.651, 0.074)
O (0.645, 0.580, 0.841)
O (0.028, 0.922, 0.781)
O (0.514, 0.096, 0.386)
O (0.486, 0.904, 0.614)
O (0.176, 0.349, 0.926)
O (0.676, 0.577, 0.232)
O (0.128, 0.222, 0.568)
O (0.198, 0.764, 0.613)
O (0.972, 0.078, 0.219)
O (0.713, 0.510, 0.473)
O (0.031, 0.863, 0.299)
O (0.872, 0.778, 0.432)
O (0.657, 0.702, 0.659)
W (0.646, 0.713, 0.983)
W (0.539, 0.385, 0.826)
W (0.749, 0.472, 0.106)
W (0.354, 0.287, 0.017)
W (0.461, 0.615, 0.174)
W (0.251, 0.528, 0.894)
Cl (0.784, 0.914, 0.950)
Cl (0.570, 0.289, 0.646)
Cl (0.617, 0.232, 0.113)
Cl (0.216, 0.086, 0.050)
Cl (0.790, 0.322, 0.928)
Cl (0.416, 0.147, 0.844)
Cl (0.430, 0.711, 0.354)
Cl (0.383, 0.768, 0.887)
Cl (0.995, 0.447, 0.216)
Cl (0.005, 0.553, 0.784)
Cl (0.210, 0.678, 0.072)
Cl (0.584, 0.853, 0.156)
Cu (0.500, 0.000, 0.500)



A plane-wave DFT calculation with GGA+U was carried out for a relaxed structure of Li6FeCoP2C2O14.

## Properties
Space-group type: Pm (6)
Formation energy from the elements (kcal/mol of atoms): -51.38

Cell: 6.415 4.987 8.397 Å, 85.41 90.00 90.00°
Atoms (fractional coordinates):
Co (0.000, 0.794, 0.335)
Fe (0.500, 0.204, 0.670)
O (0.000, 0.641, 0.889)
O (0.500, 0.052, 0.924)
O (0.812, 0.175, 0.691)
O (0.500, 0.359, 0.110)
O (0.000, 0.174, 0.419)
O (0.500, 0.405, 0.435)
O (0.500, 0.828, 0.581)
O (0.500, 0.488, 0.846)
O (0.000, 0.949, 0.073)
O (0.313, 0.825, 0.309)
O (0.687, 0.825, 0.309)
O (0.000, 0.594, 0.566)
O (0.188, 0.175, 0.691)
O (0.000, 0.510, 0.152)
P (0.000, 0.280, 0.587)
P (0.500, 0.719, 0.414)
Li (0.729, 0.248, 0.276)
Li (0.228, 0.751, 0.724)
Li (0.000, 0.237, 0.904)
Li (0.772, 0.751, 0.724)
Li (0.271, 0.248, 0.276)
Li (0.500, 0.764, 0.096)
C (0.500, 0.299, 0.963)
C (0.000, 0.702, 0.037)



A plane-wave DFT calculation with GGA+U was carried out for a relaxed structure of Ca2MnO3.

## Properties
Formation energy from the elements (kcal/mol of atoms): -65.49

Cell: 3.361 14.075 6.723 Å, 90.00 90.00 90.00°
Atoms (fractional coordinates):
O (0.500, 0.661, 0.250)
O (0.500, 0.339, 0.250)
O (0.500, 0.339, 0.750)
O (0.000, 0.500, 0.500)
O (0.000, 0.500, 0.000)
O (0.000, 0.839, 0.000)
O (0.500, 0.000, 0.250)
O (0.000, 0.839, 0.500)
O (0.500, 0.000, 0.750)
O (0.000, 0.161, 0.000)
O (0.000, 0.161, 0.500)
O (0.500, 0.661, 0.750)
Mn (0.500, 0.500, 0.750)
Mn (0.500, 0.500, 0.250)
Mn (0.000, 0.000, 0.500)
Mn (0.000, 0.000, 0.000)
Ca (0.000, 0.337, 0.500)
Ca (0.000, 0.663, 0.500)
Ca (0.500, 0.837, 0.250)
Ca (0.500, 0.837, 0.750)
Ca (0.500, 0.163, 0.250)
Ca (0.500, 0.163, 0.750)
Ca (0.000, 0.337, 0.000)
Ca (0.000, 0.663, 0.000)



A plane-wave DFT calculation with GGA+U was carried out for a relaxed structure of Mn2OF3.

## Properties
ΔE to the lowest computed polymorph (meV/atom): 27
Space-group type: Cmmm (65)
Formation energy from the elements (kcal/mol of atoms): -60.23

Cell: 7.392 7.392 7.119 Å, 90.00 90.00 128.75°
Atoms (fractional coordinates):
Mn (0.242, 0.758, 0.000)
Mn (0.235, 0.235, 0.000)
Mn (0.765, 0.765, 0.000)
Mn (0.500, 0.500, 0.500)
Mn (0.000, 0.000, 0.500)
Mn (0.500, 0.000, 0.500)
Mn (0.000, 0.500, 0.500)
Mn (0.758, 0.242, 0.000)
F (0.500, 0.000, 0.197)
F (0.256, 0.256, 0.695)
F (0.847, 0.153, 0.500)
F (0.000, 0.500, 0.197)
F (0.153, 0.847, 0.500)
F (0.256, 0.256, 0.305)
F (0.405, 0.595, 0.000)
F (0.000, 0.500, 0.803)
F (0.595, 0.405, 0.000)
F (0.744, 0.744, 0.695)
F (0.744, 0.744, 0.305)
F (0.500, 0.000, 0.803)
O (0.654, 0.346, 0.500)
O (0.346, 0.654, 0.500)
O (0.093, 0.907, 0.000)
O (0.907, 0.093, 0.000)



A plane-wave DFT calculation with GGA+U was carried out for a relaxed structure of SrCrBi12Mo4O34.

## Properties
Space-group type: P2/c (13)
Formation energy from the elements (kcal/mol of atoms): -43.54

Cell: 5.879 11.880 25.248 Å, 78.17 90.00 90.00°
Atoms (fractional coordinates):
Bi (0.495, 0.231, 0.159)
Bi (0.982, 0.259, 0.400)
Bi (0.418, 0.460, 0.826)
Bi (0.505, 0.769, 0.841)
Bi (0.084, 0.341, 0.245)
Bi (0.013, 0.583, 0.907)
Bi (0.506, 0.138, 0.821)
Bi (0.505, 0.231, 0.659)
Bi (0.418, 0.540, 0.674)
Bi (0.018, 0.259, 0.900)
Bi (0.013, 0.417, 0.593)
Bi (0.982, 0.741, 0.100)
Bi (0.495, 0.769, 0.341)
Bi (0.916, 0.659, 0.755)
Bi (0.987, 0.583, 0.407)
Bi (0.582, 0.460, 0.326)
Bi (0.018, 0.741, 0.600)
Bi (0.084, 0.659, 0.255)
Bi (0.494, 0.862, 0.179)
Bi (0.916, 0.341, 0.745)
Bi (0.987, 0.417, 0.093)
Bi (0.494, 0.138, 0.321)
Bi (0.582, 0.540, 0.174)
Bi (0.506, 0.862, 0.679)
O (0.243, 0.387, 0.449)
O (0.817, 0.882, 0.259)
O (0.733, 0.993, 0.920)
O (0.851, 0.002, 0.696)
O (0.006, 0.803, 0.391)
O (0.851, 0.998, 0.804)
O (0.752, 0.630, 0.845)
O (0.070, 0.440, 0.866)
O (0.591, 0.243, 0.742)
O (0.930, 0.560, 0.134)
O (0.248, 0.630, 0.345)
O (0.930, 0.440, 0.366)
O (0.733, 0.007, 0.580)
O (0.817, 0.118, 0.241)
O (0.183, 0.118, 0.741)
O (0.232, 0.739, 0.164)
O (0.727, 0.272, 0.333)
O (0.243, 0.613, 0.051)
O (0.267, 0.993, 0.420)
O (0.259, 0.363, 0.659)
O (0.768, 0.739, 0.664)
O (0.149, 0.002, 0.196)
O (0.726, 0.500, 0.750)
O (0.232, 0.261, 0.336)
O (0.752, 0.370, 0.655)
O (0.267, 0.007, 0.080)
O (0.248, 0.370, 0.155)
O (0.280, 0.569, 0.528)
O (0.149, 0.998, 0.304)
O (0.273, 0.272, 0.833)
O (0.727, 0.728, 0.167)
O (0.766, 0.500, 0.250)
O (0.273, 0.728, 0.667)
O (0.234, 0.500, 0.750)
O (0.415, 0.794, 0.536)
O (0.591, 0.757, 0.758)
O (0.447, 0.301, 0.560)
O (0.585, 0.794, 0.036)
O (0.280, 0.431, 0.972)
O (0.215, 0.965, 0.605)
O (0.768, 0.261, 0.836)
O (0.897, 0.878, 0.491)
O (0.103, 0.122, 0.509)
O (0.103, 0.878, 0.991)
O (0.183, 0.882, 0.759)
O (0.720, 0.431, 0.472)
O (0.994, 0.197, 0.609)
O (0.447, 0.699, 0.940)
O (0.070, 0.560, 0.634)
O (0.553, 0.699, 0.440)
O (0.994, 0.803, 0.891)
O (0.585, 0.206, 0.464)
O (0.215, 0.035, 0.895)
O (0.741, 0.363, 0.159)
O (0.897, 0.122, 0.009)
O (0.274, 0.500, 0.250)
O (0.553, 0.301, 0.060)
O (0.785, 0.965, 0.105)
O (0.720, 0.569, 0.028)
O (0.757, 0.387, 0.949)
O (0.415, 0.206, 0.964)
O (0.741, 0.637, 0.341)
O (0.785, 0.035, 0.395)
O (0.259, 0.637, 0.841)
O (0.757, 0.613, 0.551)
O (0.006, 0.197, 0.109)
O (0.409, 0.757, 0.258)
O (0.409, 0.243, 0.242)
Sr (0.500, 0.000, 0.000)
Sr (0.500, 0.000, 0.500)
Mo (0.992, 0.926, 0.423)
Mo (0.008, 0.074, 0.577)
Mo (0.507, 0.668, 0.512)
Mo (0.493, 0.332, 0.488)
Mo (0.008, 0.926, 0.923)
Mo (0.992, 0.074, 0.077)
Mo (0.507, 0.332, 0.988)
Mo (0.493, 0.668, 0.012)
Cr (0.016, 0.000, 0.750)
Cr (0.984, 0.000, 0.250)



A plane-wave DFT calculation with GGA+U was carried out for a relaxed structure of Li8TiFe7P12O48.

## Properties
Space-group type: P1 (1)
Formation energy from the elements (kcal/mol of atoms): -57.47

Cell: 8.672 8.789 12.221 Å, 90.04 90.05 90.02°
Atoms (fractional coordinates):
O (0.156, 0.434, 0.031)
O (0.556, 0.643, 0.071)
O (0.341, 0.768, 0.680)
O (0.345, 0.566, 0.531)
O (0.838, 0.732, 0.179)
O (0.676, 0.515, 0.277)
O (0.174, 0.986, 0.774)
O (0.327, 0.485, 0.726)
O (0.827, 0.487, 0.770)
O (0.353, 0.662, 0.920)
O (0.658, 0.431, 0.473)
O (0.073, 0.604, 0.843)
O (0.647, 0.338, 0.080)
O (0.344, 0.935, 0.470)
O (0.573, 0.896, 0.344)
O (0.927, 0.395, 0.155)
O (0.844, 0.934, 0.031)
O (0.826, 0.014, 0.226)
O (0.174, 0.514, 0.226)
O (0.055, 0.856, 0.572)
O (0.428, 0.395, 0.347)
O (0.427, 0.108, 0.656)
O (0.944, 0.142, 0.429)
O (0.927, 0.105, 0.844)
O (0.147, 0.338, 0.421)
O (0.145, 0.165, 0.581)
O (0.353, 0.837, 0.080)
O (0.444, 0.358, 0.929)
O (0.162, 0.268, 0.821)
O (0.338, 0.732, 0.321)
O (0.851, 0.836, 0.421)
O (0.073, 0.895, 0.156)
O (0.557, 0.857, 0.929)
O (0.675, 0.989, 0.726)
O (0.444, 0.143, 0.071)
O (0.842, 0.564, 0.967)
O (0.162, 0.232, 0.180)
O (0.851, 0.657, 0.578)
O (0.663, 0.233, 0.322)
O (0.665, 0.271, 0.677)
O (0.837, 0.768, 0.819)
O (0.575, 0.600, 0.655)
O (0.326, 0.014, 0.274)
O (0.937, 0.359, 0.568)
O (0.656, 0.066, 0.530)
O (0.156, 0.066, 0.970)
O (0.647, 0.163, 0.920)
O (0.056, 0.642, 0.429)
P (0.895, 0.607, 0.852)
P (0.961, 0.750, 0.500)
P (0.894, 0.893, 0.147)
P (0.040, 0.249, 0.499)
P (0.106, 0.107, 0.853)
P (0.605, 0.393, 0.353)
P (0.539, 0.250, 0.000)
P (0.106, 0.393, 0.147)
P (0.395, 0.606, 0.647)
P (0.605, 0.107, 0.646)
P (0.461, 0.750, 0.000)
P (0.394, 0.893, 0.353)
Fe (0.249, 0.541, 0.388)
Fe (0.751, 0.039, 0.388)
Fe (0.749, 0.960, 0.888)
Fe (0.749, 0.541, 0.112)
Fe (0.248, 0.960, 0.613)
Fe (0.251, 0.041, 0.113)
Fe (0.251, 0.459, 0.887)
Li (0.716, 0.780, 0.682)
Li (0.283, 0.278, 0.682)
Li (0.283, 0.223, 0.319)
Li (0.217, 0.777, 0.818)
Li (0.783, 0.222, 0.183)
Li (0.217, 0.723, 0.182)
Li (0.784, 0.278, 0.819)
Li (0.717, 0.724, 0.317)
Ti (0.753, 0.460, 0.611)



A plane-wave DFT calculation with GGA+U was carried out for a relaxed structure of Ba10Y5Fe15O36.

## Properties
Space-group type: P-1 (2)
Formation energy from the elements (kcal/mol of atoms): -56.31

Cell: 8.867 8.934 12.558 Å, 106.44 98.30 89.24°
Atoms (fractional coordinates):
Ba (0.340, 0.172, 0.179)
Ba (0.540, 0.569, 0.179)
Ba (0.265, 0.025, 0.819)
Ba (0.128, 0.760, 0.174)
Ba (0.660, 0.828, 0.821)
Ba (0.067, 0.620, 0.825)
Ba (0.735, 0.975, 0.181)
Ba (0.460, 0.431, 0.821)
Ba (0.933, 0.380, 0.175)
Ba (0.872, 0.240, 0.826)
O (0.331, 0.143, 0.618)
O (0.669, 0.857, 0.382)
O (0.375, 0.752, 0.380)
O (0.081, 0.648, 0.377)
O (0.778, 0.555, 0.387)
O (0.755, 0.533, 0.818)
O (0.320, 0.595, 0.005)
O (0.625, 0.248, 0.620)
O (0.472, 0.455, 0.384)
O (0.638, 0.266, 0.170)
O (0.882, 0.814, 0.998)
O (0.919, 0.352, 0.623)
O (0.724, 0.948, 0.619)
O (0.429, 0.854, 0.618)
O (0.276, 0.052, 0.381)
O (0.362, 0.734, 0.830)
O (0.680, 0.405, 0.995)
O (0.964, 0.930, 0.821)
O (0.433, 0.873, 0.179)
O (0.180, 0.324, 0.829)
O (0.176, 0.349, 0.377)
O (0.116, 0.750, 0.616)
O (0.020, 0.044, 0.618)
O (0.884, 0.250, 0.384)
O (0.980, 0.956, 0.382)
O (0.500, 0.000, 0.000)
O (0.036, 0.070, 0.179)
O (0.567, 0.127, 0.821)
O (0.000, 0.500, 0.000)
O (0.245, 0.467, 0.182)
O (0.824, 0.651, 0.623)
O (0.571, 0.146, 0.382)
O (0.820, 0.676, 0.171)
O (0.528, 0.545, 0.616)
O (0.222, 0.445, 0.613)
O (0.118, 0.186, 0.002)
Fe (0.533, 0.064, 0.660)
Fe (0.598, 0.202, 0.001)
Fe (0.000, 0.000, 0.000)
Fe (0.730, 0.465, 0.658)
Fe (0.330, 0.656, 0.650)
Fe (0.069, 0.136, 0.341)
Fe (0.196, 0.400, 0.998)
Fe (0.670, 0.344, 0.350)
Fe (0.467, 0.936, 0.340)
Fe (0.870, 0.742, 0.350)
Fe (0.270, 0.535, 0.342)
Fe (0.804, 0.600, 0.002)
Fe (0.931, 0.864, 0.659)
Fe (0.402, 0.798, 0.999)
Fe (0.130, 0.258, 0.650)
Y (0.200, 0.898, 0.500)
Y (0.399, 0.298, 0.500)
Y (0.601, 0.702, 0.500)
Y (0.800, 0.102, 0.500)
Y (0.000, 0.500, 0.500)



What did the sixth record say?
A plane-wave DFT calculation with GGA+U was carried out for a relaxed structure of Li8TiFe7P12O48.

## Properties
Space-group type: P1 (1)
Formation energy from the elements (kcal/mol of atoms): -57.47

Cell: 8.672 8.789 12.221 Å, 90.04 90.05 90.02°
Atoms (fractional coordinates):
O (0.156, 0.434, 0.031)
O (0.556, 0.643, 0.071)
O (0.341, 0.768, 0.680)
O (0.345, 0.566, 0.531)
O (0.838, 0.732, 0.179)
O (0.676, 0.515, 0.277)
O (0.174, 0.986, 0.774)
O (0.327, 0.485, 0.726)
O (0.827, 0.487, 0.770)
O (0.353, 0.662, 0.920)
O (0.658, 0.431, 0.473)
O (0.073, 0.604, 0.843)
O (0.647, 0.338, 0.080)
O (0.344, 0.935, 0.470)
O (0.573, 0.896, 0.344)
O (0.927, 0.395, 0.155)
O (0.844, 0.934, 0.031)
O (0.826, 0.014, 0.226)
O (0.174, 0.514, 0.226)
O (0.055, 0.856, 0.572)
O (0.428, 0.395, 0.347)
O (0.427, 0.108, 0.656)
O (0.944, 0.142, 0.429)
O (0.927, 0.105, 0.844)
O (0.147, 0.338, 0.421)
O (0.145, 0.165, 0.581)
O (0.353, 0.837, 0.080)
O (0.444, 0.358, 0.929)
O (0.162, 0.268, 0.821)
O (0.338, 0.732, 0.321)
O (0.851, 0.836, 0.421)
O (0.073, 0.895, 0.156)
O (0.557, 0.857, 0.929)
O (0.675, 0.989, 0.726)
O (0.444, 0.143, 0.071)
O (0.842, 0.564, 0.967)
O (0.162, 0.232, 0.180)
O (0.851, 0.657, 0.578)
O (0.663, 0.233, 0.322)
O (0.665, 0.271, 0.677)
O (0.837, 0.768, 0.819)
O (0.575, 0.600, 0.655)
O (0.326, 0.014, 0.274)
O (0.937, 0.359, 0.568)
O (0.656, 0.066, 0.530)
O (0.156, 0.066, 0.970)
O (0.647, 0.163, 0.920)
O (0.056, 0.642, 0.429)
P (0.895, 0.607, 0.852)
P (0.961, 0.750, 0.500)
P (0.894, 0.893, 0.147)
P (0.040, 0.249, 0.499)
P (0.106, 0.107, 0.853)
P (0.605, 0.393, 0.353)
P (0.539, 0.250, 0.000)
P (0.106, 0.393, 0.147)
P (0.395, 0.606, 0.647)
P (0.605, 0.107, 0.646)
P (0.461, 0.750, 0.000)
P (0.394, 0.893, 0.353)
Fe (0.249, 0.541, 0.388)
Fe (0.751, 0.039, 0.388)
Fe (0.749, 0.960, 0.888)
Fe (0.749, 0.541, 0.112)
Fe (0.248, 0.960, 0.613)
Fe (0.251, 0.041, 0.113)
Fe (0.251, 0.459, 0.887)
Li (0.716, 0.780, 0.682)
Li (0.283, 0.278, 0.682)
Li (0.283, 0.223, 0.319)
Li (0.217, 0.777, 0.818)
Li (0.783, 0.222, 0.183)
Li (0.217, 0.723, 0.182)
Li (0.784, 0.278, 0.819)
Li (0.717, 0.724, 0.317)
Ti (0.753, 0.460, 0.611)